A relaxed Bi3Au crystal, computed with PBE-GGA.

Summary:
The calculation puts the spin magnetization at 0.00 μB per cell. As for the formation energy from the elements: 158 meV per atom.

```
data_Bi3Au
_chemical_formula_sum 'Bi3 Au1'
_cell_length_a 3.301
_cell_length_b 3.301
_cell_length_c 11.730
_cell_angle_alpha 90.00
_cell_angle_beta 90.00
_cell_angle_gamma 90.00
_space_group_name_H-M_alt 'P 1'
_space_group_IT_number 1
loop_
_space_group_symop_operation_xyz
'x,y,z'
loop_
_atom_site_label
_atom_site_type_symbol
_atom_site_fract_x
_atom_site_fract_y
_atom_site_fract_z
Bi1 Bi 0.000 0.000 0.768
Bi2 Bi 0.000 0.000 0.232
Bi3 Bi 0.000 0.000 0.500
Au1 Au 0.000 0.000 0.000
```